Version a
The following is a DFT calculation (PBE) of a relaxed structure of SnH4SNO4F.

a b c (Å): 14.1244 5.0548 9.1451
angles (deg): 86.24 90.00 90.00
With the nearest neighbours (Å) after each atom.
Atoms (fractional coordinates):
1 H 0.9128 0.9044 0.2668  1 N 1.02
2 H 0.0636 0.6404 0.2612  1 O 0.99
3 H 0.0496 0.2476 0.8806  1 N 1.02
4 H 0.1159 0.4149 0.7506  1 N 1.03
5 H 0.5496 0.7524 0.6194  1 N 1.02
6 H 0.9504 0.7524 0.1194  1 N 1.02
7 H 0.4128 0.0956 0.2332  1 N 1.02
8 H 0.9364 0.3596 0.7388  1 O 0.99
9 H 0.6159 0.5851 0.7494  1 N 1.03
10 H 0.5636 0.3596 0.2388  1 O 0.99
11 H 0.0872 0.0956 0.7332  1 N 1.02
12 H 0.4504 0.2476 0.3806  1 N 1.02
13 H 0.3841 0.4149 0.2506  1 N 1.03
14 H 0.8841 0.5851 0.2494  1 N 1.03
15 H 0.5872 0.9044 0.7668  1 N 1.02
16 H 0.4364 0.6404 0.7612  1 O 0.99
17 F 0.1615 0.7821 0.6137  1 Sn 2.06, 2 H 2.24-2.26
18 F 0.8385 0.2179 0.3863  1 Sn 2.06, 2 H 2.24-2.26
19 F 0.6615 0.2179 0.8863  1 Sn 2.06, 2 H 2.24-2.26
20 F 0.3385 0.7821 0.1137  1 Sn 2.06, 2 H 2.24-2.26
21 O 0.1448 0.1467 0.3655  1 S 1.48
22 O 0.1287 0.5876 0.2356  1 H 0.99
23 O 0.9617 0.7965 0.8452  1 S 1.45
24 O 0.2116 0.2398 0.1205  1 S 1.47
25 O 0.8713 0.4124 0.7644  1 H 0.99
26 O 0.7884 0.7602 0.8795  1 S 1.47
27 O 0.2884 0.2398 0.6205  1 S 1.47
28 O 0.6287 0.4124 0.2644  1 H 0.99
29 O 0.0383 0.2035 0.1548  1 S 1.45
30 O 0.3713 0.5876 0.7356  1 H 0.99
31 O 0.4617 0.2035 0.6548  1 S 1.45
32 O 0.8552 0.8533 0.6345  1 S 1.48
33 O 0.3552 0.1467 0.8655  1 S 1.48
34 O 0.5383 0.7965 0.3452  1 S 1.45
35 O 0.7116 0.7602 0.3795  1 S 1.47
36 O 0.6448 0.8533 0.1345  1 S 1.48
37 S 0.8711 0.7302 0.7841  3 O 1.45-1.48
38 S 0.3711 0.2698 0.7159  3 O 1.45-1.48
39 S 0.1289 0.2698 0.2159  3 O 1.45-1.48
40 S 0.6289 0.7302 0.2841  3 O 1.45-1.48
41 N 0.6028 0.7646 0.6944  3 H 1.02-1.03
42 N 0.1028 0.2354 0.8056  3 H 1.02-1.03
43 N 0.8972 0.7646 0.1944  3 H 1.02-1.03
44 N 0.3972 0.2354 0.3056  3 H 1.02-1.03
45 Sn 0.7652 0.1143 0.0383  1 F 2.06, 1 O 2.29
46 Sn 0.2348 0.8857 0.9617  1 F 2.06, 1 O 2.29
47 Sn 0.2652 0.8857 0.4617  1 F 2.06, 1 O 2.29
48 Sn 0.7348 0.1143 0.5383  1 F 2.06, 1 O 2.29

Values from the calculation:
total moment = 0.0 μB/cell
volume = 13.573 Å³ per atom
theoretical density = 2.57 g cm⁻³
symmetry = P2_1/c (14)

Version b
The following is a DFT calculation (PBE) of a relaxed structure of SnH4SNO4F.

a b c (Å): 4.9363 15.4719 8.1498
angles (deg): 90.00 90.39 90.00
With the nearest neighbours (Å) after each atom.
Atoms (fractional coordinates):
1 N 0.2494 0.9484 0.7641  4 H 1.03-1.04
2 N 0.7506 0.0516 0.2359  4 H 1.03-1.04
3 N 0.2494 0.5516 0.2641  4 H 1.03-1.04
4 N 0.7506 0.4484 0.7359  4 H 1.03-1.04
5 F 0.2607 0.1250 0.3544  2 H 1.81-1.90
6 F 0.2607 0.3750 0.8544  2 H 1.81-1.90
7 F 0.7393 0.6250 0.1456  2 H 1.81-1.90
8 F 0.7393 0.8750 0.6456  2 H 1.81-1.90
9 O 0.1018 0.8702 0.3864  1 S 1.52
10 O 0.2015 0.7348 0.6716  1 S 1.49
11 O 0.7992 0.4212 0.3906  1 S 1.46
12 O 0.7992 0.0788 0.8906  1 S 1.46
13 O 0.2008 0.5788 0.6094  1 S 1.46
14 O 0.5583 0.6392 0.7791  1 S 1.51
15 O 0.8982 0.3702 0.1136  1 S 1.52
16 O 0.8982 0.1298 0.6136  1 S 1.52
17 O 0.5583 0.8608 0.2791  1 S 1.51
18 O 0.2008 0.9212 0.1094  1 S 1.46
19 O 0.7985 0.2652 0.3284  1 S 1.49
20 O 0.4417 0.3608 0.2209  1 S 1.51
21 O 0.4417 0.1392 0.7209  1 S 1.51
22 O 0.7985 0.2348 0.8284  1 S 1.49
23 O 0.1018 0.6298 0.8864  1 S 1.52
24 O 0.2015 0.7652 0.1716  1 S 1.49
25 H 0.7672 0.0627 0.1101  1 N 1.04
26 H 0.4214 0.5820 0.2184  1 N 1.04
27 H 0.2328 0.9373 0.8899  1 N 1.04
28 H 0.5786 0.4180 0.7816  1 N 1.04
29 H 0.2656 0.4860 0.2442  1 N 1.03
30 H 0.9235 0.4252 0.7939  1 N 1.04
31 H 0.7344 0.5140 0.7558  1 N 1.03
32 H 0.9235 0.0748 0.2939  1 N 1.04
33 H 0.0765 0.5748 0.2061  1 N 1.04
34 H 0.7344 0.9860 0.2558  1 N 1.03
35 H 0.7672 0.4373 0.6101  1 N 1.04
36 H 0.2656 0.0140 0.7442  1 N 1.03
37 H 0.0765 0.9252 0.7061  1 N 1.04
38 H 0.2328 0.5627 0.3899  1 N 1.04
39 H 0.5786 0.0820 0.2816  1 N 1.04
40 H 0.4214 0.9180 0.7184  1 N 1.04
41 S 0.7371 0.1458 0.7691  4 O 1.46-1.52
42 S 0.2629 0.6458 0.7309  4 O 1.46-1.52
43 S 0.2629 0.8542 0.2309  4 O 1.46-1.52
44 S 0.7371 0.3542 0.2691  4 O 1.46-1.52
45 Sn 0.2068 0.2775 0.0280  1 F 2.09, 2 O 2.21-2.34
46 Sn 0.7932 0.7225 0.9720  1 F 2.09, 2 O 2.21-2.34
47 Sn 0.2068 0.2225 0.5280  1 F 2.09, 2 O 2.21-2.34
48 Sn 0.7932 0.7775 0.4720  1 F 2.09, 2 O 2.21-2.34

Values from the calculation:
total moment = 0.1 μB/cell
volume = 12.967 Å³ per atom
theoretical density = 2.69 g cm⁻³
symmetry = P2_1/c (14)

Which structure is the most stable? The one labeled version b.

Version a
The following is a DFT calculation (PBE) of a relaxed structure of TiH8N2F6.

a b c (Å): 6.0808 6.0808 4.8046
angles (deg): 90.00 90.00 120.00
With the nearest neighbours (Å) after each atom.
Atoms (fractional coordinates):
1 F 0.1481 0.8519 0.7757  1 Ti 1.90
2 F 0.8519 0.1481 0.2243  1 Ti 1.90
3 F 0.2962 0.1481 0.2243  1 Ti 1.90
4 F 0.7038 0.8519 0.7757  1 Ti 1.90
5 F 0.1481 0.2962 0.7757  1 Ti 1.90
6 F 0.8519 0.7038 0.2243  1 Ti 1.90
7 H 0.4828 0.2414 0.6178  1 N 1.03
8 H 0.5172 0.7586 0.3822  1 N 1.03
9 H 0.6667 0.3333 0.9046  1 N 1.03
10 H 0.7586 0.5172 0.6178  1 N 1.03
11 H 0.2414 0.7586 0.3822  1 N 1.03
12 H 0.7586 0.2414 0.6178  1 N 1.03
13 H 0.3333 0.6667 0.0954  1 N 1.03
14 H 0.2414 0.4828 0.3822  1 N 1.03
15 N 0.6667 0.3333 0.6902  4 H 1.03
16 N 0.3333 0.6667 0.3098  4 H 1.03
17 Ti 0.0000 0.0000 0.0000  6 F 1.90

Values from the calculation:
total moment = 0.0 μB/cell
volume = 9.050 Å³ per atom
theoretical density = 2.14 g cm⁻³
symmetry = P-3m1 (164)

Version b
The following is a DFT calculation (PBE) of a relaxed structure of TiH8N2F6.

a b c (Å): 5.8237 5.8237 4.8865
angles (deg): 90.00 90.00 120.00
With the nearest neighbours (Å) after each atom.
Atoms (fractional coordinates):
1 F 0.1566 0.8434 0.7835  1 Ti 1.90
2 F 0.3131 0.1566 0.2165  1 Ti 1.90
3 F 0.8434 0.6869 0.2165  1 Ti 1.90
4 F 0.1566 0.3131 0.7835  1 Ti 1.90
5 F 0.6869 0.8434 0.7835  1 Ti 1.90
6 F 0.8434 0.1566 0.2165  1 Ti 1.90
7 N 0.6667 0.3333 0.6942  4 H 1.03
8 N 0.3333 0.6667 0.3058  4 H 1.03
9 H 0.4294 0.5706 0.2358  1 N 1.03
10 H 0.6667 0.3333 0.4828  1 N 1.03
11 H 0.3333 0.6667 0.5172  1 N 1.03
12 H 0.5706 0.1413 0.7642  1 N 1.03
13 H 0.8587 0.4294 0.7642  1 N 1.03
14 H 0.5706 0.4294 0.7642  1 N 1.03
15 H 0.4294 0.8587 0.2358  1 N 1.03
16 H 0.1413 0.5706 0.2358  1 N 1.03
17 Ti 0.0000 0.0000 0.0000  6 F 1.90

Values from the calculation:
total moment = 0.0 μB/cell
volume = 8.443 Å³ per atom
theoretical density = 2.29 g cm⁻³
symmetry = P-3m1 (164)

Which structure is the most stable? The one labeled version a.